1.
First-principles (meta-GGA r2SCAN) data for Er2Pt after structural relaxation, as listed in the Materials Project database.

## Properties
Its total energy is -40.860 eV per atom. The calculation puts the total magnetization at 0.0 Bohr magnetons per cell.

CIF file:
```
data_Er2Pt
_symmetry_space_group_name_H-M 'P n m a'
_symmetry_Int_Tables_number 62
_symmetry_space_group_name_Hall '-P 2ac 2n'
_cell_length_a 7.0408
_cell_length_b 4.7073
_cell_length_c 8.6698
_cell_angle_alpha 90.00
_cell_angle_beta 90.00
_cell_angle_gamma 90.00
loop_
_atom_site_label
_atom_site_fract_x
_atom_site_fract_y
_atom_site_fract_z
_atom_site_occupancy
Er1 0.0092 0.2500 0.1670 1
Er2 0.1433 0.2500 0.5807 1
Pt1 0.2412 0.2500 0.9074 1
```



2.
First-principles (meta-GGA r2SCAN) data for TmZrOs2 after structural relaxation, as listed in the Materials Project database.

## Properties
Its total energy is -41.448 eV per atom. The calculation puts the total magnetization at 0.0 Bohr magnetons per cell.

CIF file:
```
data_TmZrOs2
_symmetry_space_group_name_H-M 'F m -3 m'
_symmetry_Int_Tables_number 225
_symmetry_space_group_name_Hall '-F 4 2 3'
_cell_length_a 6.6061
_cell_length_b 6.6061
_cell_length_c 6.6061
_cell_angle_alpha 90.00
_cell_angle_beta 90.00
_cell_angle_gamma 90.00
loop_
_atom_site_label
_atom_site_fract_x
_atom_site_fract_y
_atom_site_fract_z
_atom_site_occupancy
Tm1 0.0000 0.0000 0.0000 1
Zr1 0.0000 0.0000 0.5000 1
Os1 0.2500 0.2500 0.2500 1
```



3.
First-principles (meta-GGA r2SCAN) data for CdAg3 after structural relaxation, as listed in the Materials Project database.

## Properties
Its total energy is -21.089 eV per atom. The calculation puts the total magnetization at 0.0 Bohr magnetons per cell.

CIF file:
```
data_CdAg3
_symmetry_space_group_name_H-M 'I 4/m m m'
_symmetry_Int_Tables_number 139
_symmetry_space_group_name_Hall '-I 4 2'
_cell_length_a 4.1537
_cell_length_b 4.1537
_cell_length_c 8.3481
_cell_angle_alpha 90.00
_cell_angle_beta 90.00
_cell_angle_gamma 90.00
loop_
_atom_site_label
_atom_site_fract_x
_atom_site_fract_y
_atom_site_fract_z
_atom_site_occupancy
Cd1 0.0000 0.0000 0.0000 1
Ag1 0.0000 0.0000 0.5000 1
Ag2 0.0000 0.5000 0.2500 1
```



4.
First-principles (meta-GGA r2SCAN) data for HgI2 after structural relaxation, as listed in the Materials Project database.

## Properties
Its total energy is -33.179 eV per atom. The calculation puts the total magnetization at 0.0 Bohr magnetons per cell.

CIF file:
```
data_HgI2
_symmetry_space_group_name_H-M 'C 1 2/c 1'
_symmetry_Int_Tables_number 15
_symmetry_space_group_name_Hall '-C 2yc'
_cell_length_a 18.0886
_cell_length_b 18.1101
_cell_length_c 15.6319
_cell_angle_alpha 90.00
_cell_angle_beta 125.31
_cell_angle_gamma 90.00
loop_
_atom_site_label
_atom_site_fract_x
_atom_site_fract_y
_atom_site_fract_z
_atom_site_occupancy
Hg1 0.0649 0.1289 0.1254 1
Hg2 0.1836 0.2525 0.6258 1
Hg3 0.1890 0.3790 0.8742 1
Hg4 0.1920 0.4977 0.6254 1
I1 0.1171 0.0012 0.7504 1
I2 0.1172 0.2485 0.7504 1
I3 0.1195 0.1250 0.9882 1
I4 0.1195 0.3750 0.4879 1
I5 0.1221 0.3727 0.0001 1
I6 0.1232 0.4926 0.2491 1
I7 0.1240 0.2577 0.2502 1
I8 0.1277 0.1231 0.4996 1
```



5.
First-principles (meta-GGA r2SCAN) data for H after structural relaxation, as listed in the Materials Project database.

## Properties
As for the excess energy over the best structure of this formula in the dataset: 2.7 meV/atom. The calculation puts the total magnetization at 0.0 Bohr magnetons per cell.

CIF file:
```
data_H
_symmetry_space_group_name_H-M 'P 1 21 1'
_symmetry_Int_Tables_number 4
_symmetry_space_group_name_Hall 'P 2yb'
_cell_length_a 7.9363
_cell_length_b 10.7442
_cell_length_c 9.0018
_cell_angle_alpha 90.00
_cell_angle_beta 102.09
_cell_angle_gamma 90.00
loop_
_atom_site_label
_atom_site_fract_x
_atom_site_fract_y
_atom_site_fract_z
_atom_site_occupancy
H1 0.0014 0.1408 0.1707 1
H2 0.0180 0.9371 0.8454 1
H3 0.0418 0.0000 0.8766 1
H4 0.0509 0.6748 0.8946 1
H5 0.0841 0.3195 0.8229 1
H6 0.1695 0.3498 0.8462 1
H7 0.1781 0.6949 0.4178 1
H8 0.1887 0.6282 0.4010 1
H9 0.3392 0.1322 0.4295 1
H10 0.3527 0.1961 0.4033 1
H11 0.3664 0.8225 0.8406 1
H12 0.4099 0.8321 0.7762 1
H13 0.4624 0.1548 0.8781 1
H14 0.4629 0.6332 0.1525 1
H15 0.4840 0.9297 0.1864 1
H16 0.4955 0.4958 0.8256 1
```



6.
First-principles (meta-GGA r2SCAN) data for AsRu after structural relaxation, as listed in the Materials Project database.

## Properties
Its total energy is -20.371 eV per atom. The calculation puts the total magnetization at 1.2 Bohr magnetons per cell.

CIF file:
```
data_AsRu
_symmetry_space_group_name_H-M 'P n m a'
_symmetry_Int_Tables_number 62
_symmetry_space_group_name_Hall '-P 2ac 2n'
_cell_length_a 5.7315
_cell_length_b 3.3428
_cell_length_c 6.3687
_cell_angle_alpha 90.00
_cell_angle_beta 90.00
_cell_angle_gamma 90.00
loop_
_atom_site_label
_atom_site_fract_x
_atom_site_fract_y
_atom_site_fract_z
_atom_site_occupancy
As1 0.1962 0.2500 0.0699 1
Ru1 0.0054 0.7500 0.2955 1
```



| no. | calculated density (g/cm3) |
| --- | --- |
| 1 | 12.24 |
| 2 | 14.76 |
| 3 | 10.05 |
| 4 | 5.78 |
| 5 | 0.07 |
| 6 | 9.58 |